{
  "formula": "SmBiRh",
  "functional": "r2SCAN",
  "state": "relaxed",
  "cell": [[4.7286, 0.0000, 0.0000], [0.0000, 7.3780, 0.0000], [0.0000, 0.0000, 7.9846]],
  "species": ["Sm", "Sm", "Sm", "Sm", "Bi", "Bi", "Bi", "Bi", "Rh", "Rh", "Rh", "Rh"],
  "fractional_positions": [[0.2500, 0.0128, 0.6985], [0.7500, 0.9872, 0.3015], [0.7500, 0.4872, 0.1985], [0.2500, 0.5128, 0.8015], [0.7500, 0.8134, 0.9086], [0.2500, 0.6866, 0.4086], [0.2500, 0.1866, 0.0914], [0.7500, 0.3134, 0.5914], [0.7500, 0.2049, 0.9215], [0.7500, 0.7049, 0.5785], [0.2500, 0.2951, 0.4215], [0.2500, 0.7951, 0.0785]]
}



{
  "formula": "Bi2S3",
  "functional": "r2SCAN",
  "state": "relaxed",
  "cell": [[-0.7747, 2.5406, 2.9879], [-7.5818, -7.1043, 4.0750], [8.2062, -5.0655, 6.4351]],
  "species": ["Bi", "Bi", "Bi", "Bi", "Bi", "Bi", "Bi", "Bi", "S", "S", "S", "S", "S", "S", "S", "S", "S", "S", "S", "S"],
  "fractional_positions": [[0.2500, 0.3264, 0.5175], [0.7500, 0.6737, 0.4825], [0.7500, 0.8263, 0.9824], [0.2500, 0.1737, 0.0175], [0.7500, 0.0327, 0.6565], [0.2500, 0.9673, 0.3436], [0.2500, 0.5326, 0.8435], [0.7500, 0.4673, 0.1564], [0.7500, 0.3713, 0.9518], [0.2500, 0.6287, 0.0482], [0.2500, 0.8713, 0.5482], [0.7500, 0.1287, 0.4518], [0.7500, 0.4436, 0.6216], [0.2500, 0.5564, 0.3784], [0.2500, 0.9436, 0.8784], [0.7500, 0.0564, 0.1215], [0.2500, 0.3087, 0.2106], [0.7500, 0.6913, 0.7893], [0.7500, 0.8087, 0.2894], [0.2500, 0.1913, 0.7107]]
}



{
  "formula": "SmBiS3",
  "functional": "r2SCAN",
  "state": "relaxed",
  "cell": [[4.0460, 0.0000, 0.0000], [0.0000, 10.9030, 0.0000], [0.0000, 0.0000, 11.0154]],
  "species": ["Sm", "Sm", "Sm", "Sm", "Bi", "Bi", "Bi", "Bi", "S", "S", "S", "S", "S", "S", "S", "S", "S", "S", "S", "S"],
  "fractional_positions": [[0.2500, 0.1716, 0.4901], [0.2500, 0.3284, 0.9901], [0.7500, 0.8284, 0.5099], [0.7500, 0.6716, 0.0099], [0.7500, 0.4668, 0.6719], [0.7500, 0.0332, 0.1719], [0.2500, 0.5332, 0.3281], [0.2500, 0.9668, 0.8281], [0.2500, 0.6347, 0.5468], [0.2500, 0.8653, 0.0468], [0.7500, 0.3653, 0.4532], [0.7500, 0.1347, 0.9532], [0.7500, 0.0618, 0.6152], [0.7500, 0.4382, 0.1152], [0.2500, 0.9382, 0.3848], [0.2500, 0.5618, 0.8848], [0.2500, 0.3061, 0.7234], [0.2500, 0.1939, 0.2234], [0.7500, 0.6939, 0.2766], [0.7500, 0.8061, 0.7766]]
}



{
  "formula": "BiSb",
  "functional": "r2SCAN",
  "state": "relaxed",
  "cell": [[2.3059, 3.5012, 1.4999], [-1.1333, 4.1174, -1.2602], [-4.3664, -0.6825, 1.6968]],
  "species": ["Bi", "Sb"],
  "fractional_positions": [[0.5361, 0.2320, 0.3041], [0.4639, 0.7680, 0.6959]]
}



no.,VASP energy (eV/atom),energy of formation from the pure elements (meV per atom)
1,-38.2779,-821
2,-28.6359,-415
3,-23.8548,-1387
4,-42.1112,-7